Run one
Below is crystalline Ho3Ni2 at its relaxed geometry, with properties calculated at the PBE-GGA level.

Cell: 6.811 6.811 9.387 Å, 105.15 105.15 31.42°
Fractional coordinates of all 10 atoms:
Ho  0.097  0.097  0.173
Ho  0.356  0.356  0.132
Ho  0.368  0.368  0.503
Ho  0.632  0.632  0.497
Ho  0.644  0.644  0.868
Ho  0.903  0.903  0.827
Ni  0.036  0.036  0.644
Ni  0.243  0.243  0.727
Ni  0.757  0.757  0.273
Ni  0.964  0.964  0.356

---

Run two
Below is crystalline Ho3Ni2 at its relaxed geometry, with properties calculated at the PBE-GGA level.

Cell: 7.151 7.151 7.151 Å, 72.64 72.64 72.64°
Fractional coordinates of all 15 atoms:
Ho  0.000  0.000  0.000
Ho  0.171  0.663  0.388
Ho  0.207  0.207  0.207
Ho  0.337  0.612  0.829
Ho  0.388  0.171  0.663
Ho  0.612  0.829  0.337
Ho  0.663  0.388  0.171
Ho  0.793  0.793  0.793
Ho  0.829  0.337  0.612
Ni  0.041  0.414  0.857
Ni  0.143  0.959  0.586
Ni  0.414  0.857  0.041
Ni  0.586  0.143  0.959
Ni  0.857  0.041  0.414
Ni  0.959  0.586  0.143

---

It is run one that is most stable; the runner-up trails by 1.3 kJ/mol of atoms.

---

Run one
Below is crystalline HoO3 at its relaxed geometry, with properties calculated at the PBE-GGA level.

Computed properties:
Spin magnetization (μB per cell): 0.0

Cell: 4.646 4.646 4.644 Å, 90.00 90.00 120.00°
Fractional coordinates of all 8 atoms:
Ho  0.333  0.667  0.250
Ho  0.667  0.333  0.750
O  0.180  0.361  0.750
O  0.180  0.820  0.750
O  0.361  0.180  0.250
O  0.639  0.820  0.750
O  0.820  0.180  0.250
O  0.820  0.639  0.250

---

Run two
Below is crystalline HoO3 at its relaxed geometry, with properties calculated at the PBE-GGA level.

Computed properties:
Spin magnetization (μB per cell): 6.0

Cell: 6.488 6.488 3.402 Å, 90.00 90.00 120.00°
Fractional coordinates of all 8 atoms:
Ho  0.333  0.667  0.250
Ho  0.667  0.333  0.750
O  0.058  0.425  0.750
O  0.367  0.942  0.750
O  0.425  0.367  0.250
O  0.575  0.633  0.750
O  0.633  0.058  0.250
O  0.942  0.575  0.250

---

It is run two that is most stable; the runner-up trails by 6.4 kJ/mol of atoms.

---

Run one
Below is crystalline HoP5O14 at its relaxed geometry, with properties calculated at the PBE-GGA level.

Computed properties:
Spin magnetization (μB per cell): 0.0

Cell: 8.807 12.807 9.143 Å, 90.00 90.00 90.00°
Fractional coordinates of all 80 atoms:
Ho  0.021  0.250  0.056
Ho  0.479  0.750  0.556
Ho  0.521  0.250  0.444
Ho  0.979  0.750  0.944
P  0.009  0.582  0.295
P  0.009  0.918  0.295
P  0.073  0.750  0.504
P  0.243  0.570  0.773
P  0.243  0.930  0.773
P  0.257  0.070  0.273
P  0.257  0.430  0.273
P  0.427  0.250  0.004
P  0.491  0.082  0.795
P  0.491  0.418  0.795
P  0.509  0.582  0.205
P  0.509  0.918  0.205
P  0.573  0.750  0.996
P  0.743  0.570  0.727
P  0.743  0.930  0.727
P  0.757  0.070  0.227
P  0.757  0.430  0.227
P  0.927  0.250  0.496
P  0.991  0.082  0.705
P  0.991  0.418  0.705
O  0.009  0.635  0.152
O  0.009  0.865  0.152
O  0.024  0.153  0.568
O  0.024  0.347  0.568
O  0.038  0.750  0.662
O  0.115  0.505  0.681
O  0.115  0.995  0.681
O  0.158  0.120  0.161
O  0.158  0.380  0.161
O  0.163  0.527  0.343
O  0.163  0.973  0.343
O  0.171  0.629  0.894
O  0.171  0.871  0.894
O  0.230  0.750  0.442
O  0.270  0.250  0.942
O  0.329  0.129  0.394
O  0.329  0.371  0.394
O  0.337  0.027  0.843
O  0.337  0.473  0.843
O  0.342  0.620  0.661
O  0.342  0.880  0.661
O  0.385  0.005  0.181
O  0.385  0.495  0.181
O  0.462  0.250  0.162
O  0.476  0.653  0.068
O  0.476  0.847  0.068
O  0.491  0.135  0.652
O  0.491  0.365  0.652
O  0.509  0.635  0.348
O  0.509  0.865  0.348
O  0.524  0.153  0.932
O  0.524  0.347  0.932
O  0.538  0.750  0.838
O  0.615  0.505  0.819
O  0.615  0.995  0.819
O  0.658  0.120  0.339
O  0.658  0.380  0.339
O  0.663  0.527  0.157
O  0.663  0.973  0.157
O  0.671  0.629  0.606
O  0.671  0.871  0.606
O  0.730  0.750  0.058
O  0.770  0.250  0.558
O  0.829  0.129  0.106
O  0.829  0.371  0.106
O  0.837  0.027  0.657
O  0.837  0.473  0.657
O  0.842  0.620  0.839
O  0.842  0.880  0.839
O  0.885  0.005  0.319
O  0.885  0.495  0.319
O  0.962  0.250  0.338
O  0.976  0.653  0.432
O  0.976  0.847  0.432
O  0.991  0.135  0.848
O  0.991  0.365  0.848

---

Run two
Below is crystalline HoP5O14 at its relaxed geometry, with properties calculated at the PBE-GGA level.

Cell: 9.192 9.192 12.578 Å, 91.11 91.11 89.59°
Fractional coordinates of all 80 atoms:
Ho  0.021  0.979  0.750
Ho  0.466  0.534  0.750
Ho  0.534  0.466  0.250
Ho  0.979  0.021  0.250
P  0.022  0.682  0.393
P  0.070  0.576  0.742
P  0.116  0.176  0.001
P  0.176  0.116  0.501
P  0.183  0.451  0.110
P  0.318  0.978  0.107
P  0.328  0.626  0.466
P  0.374  0.672  0.034
P  0.424  0.930  0.758
P  0.451  0.183  0.610
P  0.549  0.817  0.390
P  0.576  0.070  0.242
P  0.626  0.328  0.966
P  0.672  0.374  0.534
P  0.682  0.022  0.893
P  0.817  0.549  0.890
P  0.824  0.884  0.499
P  0.884  0.824  0.999
P  0.930  0.424  0.258
P  0.978  0.318  0.607
O  0.003  0.482  0.640
O  0.015  0.141  0.089
O  0.031  0.480  0.162
O  0.038  0.782  0.304
O  0.041  0.730  0.717
O  0.079  0.146  0.888
O  0.107  0.279  0.529
O  0.141  0.015  0.589
O  0.146  0.079  0.388
O  0.154  0.349  0.009
O  0.157  0.675  0.473
O  0.212  0.602  0.056
O  0.218  0.962  0.196
O  0.219  0.523  0.769
O  0.270  0.959  0.783
O  0.279  0.107  0.029
O  0.300  0.396  0.181
O  0.325  0.843  0.027
O  0.349  0.154  0.509
O  0.350  0.534  0.368
O  0.371  0.579  0.574
O  0.396  0.300  0.681
O  0.398  0.788  0.444
O  0.421  0.629  0.926
O  0.466  0.650  0.132
O  0.477  0.781  0.731
O  0.480  0.031  0.662
O  0.482  0.003  0.140
O  0.518  0.997  0.860
O  0.520  0.969  0.338
O  0.523  0.219  0.269
O  0.534  0.350  0.868
O  0.579  0.371  0.074
O  0.602  0.212  0.556
O  0.604  0.700  0.319
O  0.629  0.421  0.426
O  0.650  0.466  0.632
O  0.651  0.846  0.491
O  0.675  0.157  0.973
O  0.700  0.604  0.819
O  0.721  0.893  0.971
O  0.730  0.041  0.217
O  0.781  0.477  0.231
O  0.782  0.038  0.804
O  0.788  0.398  0.944
O  0.843  0.325  0.527
O  0.846  0.651  0.991
O  0.854  0.921  0.612
O  0.859  0.985  0.411
O  0.893  0.721  0.471
O  0.921  0.854  0.112
O  0.959  0.270  0.283
O  0.962  0.218  0.696
O  0.969  0.520  0.838
O  0.985  0.859  0.911
O  0.997  0.518  0.360

---

It is run two that is most stable; the runner-up trails by 0.8 kJ/mol of atoms.

---

Run one
Below is crystalline Ho3ReO7 at its relaxed geometry, with properties calculated at the PBE-GGA level.

Computed properties:
Spin magnetization (μB per cell): 3.0

Cell: 6.423 6.423 7.390 Å, 90.00 90.00 69.77°
Fractional coordinates of all 22 atoms:
Ho  0.000  0.000  0.000
Ho  0.000  0.000  0.500
Ho  0.062  0.478  0.750
Ho  0.478  0.062  0.250
Ho  0.522  0.938  0.750
Ho  0.938  0.522  0.250
Re  0.500  0.500  0.000
Re  0.500  0.500  0.500
O  0.108  0.158  0.250
O  0.158  0.108  0.750
O  0.176  0.567  0.036
O  0.176  0.567  0.464
O  0.430  0.570  0.750
O  0.433  0.824  0.036
O  0.433  0.824  0.464
O  0.567  0.176  0.536
O  0.567  0.176  0.964
O  0.570  0.430  0.250
O  0.824  0.433  0.536
O  0.824  0.433  0.964
O  0.842  0.892  0.250
O  0.892  0.842  0.750

---

Run two
Below is crystalline Ho3ReO7 at its relaxed geometry, with properties calculated at the PBE-GGA level.

Computed properties:
Spin magnetization (μB per cell): 4.0

Cell: 6.452 6.452 7.391 Å, 90.00 90.00 108.70°
Fractional coordinates of all 22 atoms:
Ho  0.035  0.035  0.000
Ho  0.035  0.500  0.257
Ho  0.500  0.035  0.743
Ho  0.500  0.965  0.243
Ho  0.965  0.500  0.757
Ho  0.965  0.965  0.500
Re  0.499  0.499  0.500
Re  0.501  0.501  0.000
O  0.130  0.870  0.750
O  0.138  0.862  0.250
O  0.173  0.418  0.976
O  0.190  0.446  0.538
O  0.418  0.173  0.024
O  0.427  0.573  0.250
O  0.446  0.190  0.462
O  0.554  0.810  0.962
O  0.573  0.427  0.750
O  0.582  0.827  0.524
O  0.810  0.554  0.038
O  0.827  0.582  0.476
O  0.862  0.138  0.750
O  0.870  0.130  0.250

---

It is run two that is most stable; the runner-up trails by 2.0 kJ/mol of atoms.

---

Run one
Below is crystalline Ho2Sb2O7 at its relaxed geometry, with properties calculated at the PBE-GGA level.

Computed properties:
Spin magnetization (μB per cell): 0.0

Cell: 7.539 7.539 7.539 Å, 118.52 90.24 121.21°
Fractional coordinates of all 22 atoms:
Ho  0.000  0.000  0.000
Ho  0.500  0.000  0.000
Ho  0.500  0.000  0.500
Ho  0.500  0.500  0.500
Sb  0.000  0.000  0.500
Sb  0.000  0.500  0.000
Sb  0.000  0.500  0.500
Sb  0.500  0.500  0.000
O  0.032  0.782  0.250
O  0.074  0.203  0.375
O  0.074  0.699  0.871
O  0.328  0.203  0.629
O  0.328  0.699  0.125
O  0.366  0.247  0.119
O  0.372  0.753  0.619
O  0.628  0.247  0.381
O  0.634  0.753  0.881
O  0.672  0.301  0.875
O  0.672  0.797  0.371
O  0.926  0.301  0.129
O  0.926  0.797  0.625
O  0.968  0.218  0.750

---

Run two
Below is crystalline Ho2Sb2O7 at its relaxed geometry, with properties calculated at the PBE-GGA level.

Computed properties:
Spin magnetization (μB per cell): 0.0

Cell: 7.529 7.529 18.526 Å, 90.00 90.00 120.00°
Fractional coordinates of all 66 atoms:
Ho  0.000  0.826  0.167
Ho  0.000  0.836  0.667
Ho  0.164  0.164  0.000
Ho  0.174  0.174  0.500
Ho  0.182  0.684  0.511
Ho  0.316  0.498  0.845
Ho  0.498  0.316  0.155
Ho  0.502  0.818  0.178
Ho  0.684  0.182  0.489
Ho  0.818  0.502  0.822
Ho  0.826  0.000  0.833
Ho  0.836  0.000  0.333
Sb  0.000  0.301  0.167
Sb  0.000  0.329  0.667
Sb  0.167  0.669  0.001
Sb  0.301  0.000  0.833
Sb  0.329  0.000  0.333
Sb  0.331  0.498  0.335
Sb  0.498  0.331  0.665
Sb  0.502  0.833  0.668
Sb  0.669  0.167  0.999
Sb  0.671  0.671  0.000
Sb  0.699  0.699  0.500
Sb  0.833  0.502  0.332
O  0.006  0.336  0.790
O  0.009  0.809  0.030
O  0.017  0.852  0.784
O  0.045  0.426  0.307
O  0.106  0.656  0.894
O  0.148  0.165  0.118
O  0.165  0.148  0.882
O  0.191  0.200  0.364
O  0.200  0.191  0.636
O  0.201  0.676  0.639
O  0.233  0.693  0.106
O  0.307  0.541  0.440
O  0.324  0.525  0.972
O  0.329  0.994  0.457
O  0.336  0.006  0.210
O  0.344  0.450  0.228
O  0.382  0.955  0.974
O  0.426  0.045  0.693
O  0.450  0.344  0.772
O  0.459  0.767  0.773
O  0.475  0.799  0.306
O  0.525  0.324  0.028
O  0.541  0.307  0.560
O  0.550  0.894  0.561
O  0.574  0.618  0.641
O  0.618  0.574  0.359
O  0.656  0.106  0.106
O  0.664  0.671  0.123
O  0.671  0.664  0.877
O  0.676  0.201  0.361
O  0.693  0.233  0.894
O  0.767  0.459  0.227
O  0.799  0.475  0.694
O  0.800  0.991  0.697
O  0.809  0.009  0.970
O  0.835  0.983  0.451
O  0.852  0.017  0.216
O  0.894  0.550  0.439
O  0.955  0.382  0.026
O  0.983  0.835  0.549
O  0.991  0.800  0.303
O  0.994  0.329  0.543

---

It is run two that is most stable; the runner-up trails by 4.8 kJ/mol of atoms.